1) Material: Rb2LiNd2W4O16
Method: DFT, GGA+U
State: relaxed

```
25
Lattice="5.6708 -5.5356 0.0000 5.6708 5.5356 0.0000 -4.9951 0.0000 5.7536" Properties=species:S:1:pos:R:3 pbc="T T T"
Rb 0.0000 0.0000 0.0000
Rb 3.1733 -0.9223 2.8768
Li 5.6708 2.3567 0.0000
Nd 3.1733 5.2939 2.8768
Nd 5.6708 -0.7950 0.0000
W 0.7054 2.3419 3.1101
W 3.1301 2.1906 0.2803
W 5.6412 2.3419 2.6435
W 3.2165 2.1906 5.4733
O -0.6146 1.2059 2.5240
O -0.5773 2.9105 4.5842
O -2.0171 0.5934 5.0903
O 1.9563 1.6358 1.7861
O 4.0842 3.4335 1.5936
O 2.2624 3.4335 4.1600
O 1.5229 1.1326 4.5406
O 4.8237 1.1326 1.2130
O 0.1590 -1.5872 3.5496
O 6.9239 2.9105 1.1693
O 4.3903 1.6358 3.9675
O 3.8375 -2.1914 0.3396
O 8.3637 0.5934 0.6632
O 6.9612 1.2059 3.2295
O 2.5091 -2.1914 5.4140
O 6.1876 -1.5872 2.2040
```

## Properties
crystal system: monoclinic
space group: C2, No. 5
density: 6.701 g/cm3

***

2) Material: Rb2LiNd2W4O16
Method: DFT, GGA+U
State: relaxed

```
25
Lattice="7.5805 0.0000 0.0000 3.5045 6.7408 0.0000 3.7237 -1.6711 6.9982" Properties=species:S:1:pos:R:3 pbc="T T T"
Rb 0.0000 0.0000 0.0000
Rb 7.4777 2.0266 4.8588
Li 8.6530 0.8507 2.5904
Nd 7.2944 6.5215 0.3464
Nd 11.3277 2.0666 4.4716
W 5.4246 5.2207 3.7806
W 5.8095 3.3020 1.1325
W 9.2422 5.4255 3.6693
W 9.5730 3.3191 1.1355
O 5.1546 1.6740 6.3864
O 2.3622 1.4814 1.3106
O 3.7468 3.8392 0.7566
O 5.2175 3.2240 3.0062
O 5.8803 5.2990 1.7887
O 7.4205 4.8321 4.0568
O 5.1837 0.4286 3.5069
O 9.6745 5.2772 5.4549
O 5.2550 1.6617 0.5173
O 10.0424 2.4854 6.5308
O 7.5517 2.7097 1.6039
O 8.9293 5.1755 1.5592
O 9.7459 3.4504 3.2105
O 11.1177 5.9183 3.2210
O 12.3957 4.4081 5.3589
O 9.8109 0.3666 4.0918
```

## Properties
crystal system: triclinic
space group: P1, No. 1
density: 6.769 g/cm3

***

3) Material: Rb2LiNd2W4O16
Method: DFT, GGA+U
State: relaxed

```
25
Lattice="7.5481 0.0000 0.0000 3.6400 6.7251 0.0000 3.5646 -1.7061 7.0958" Properties=species:S:1:pos:R:3 pbc="T T T"
Rb 0.0000 0.0000 0.0000
Rb 7.3688 1.7858 4.2158
Li 4.3622 1.5305 1.9150
Nd 10.9026 4.7217 7.0130
Nd 11.1537 2.0469 4.4110
W 5.2834 5.1743 3.4700
W 5.6964 3.4010 0.7326
W 9.0481 5.2533 3.3998
W 9.4635 3.2257 0.8290
O 5.0892 1.5283 6.1178
O 2.5692 1.4788 1.1008
O 3.6935 3.8733 0.4540
O 5.0778 3.1778 2.7304
O 5.8989 5.3020 1.5581
O 7.2960 4.6535 3.7727
O 4.9024 0.3252 3.2048
O 9.5534 5.2852 5.1661
O 5.2508 1.6204 0.2972
O 9.8791 2.6347 6.2338
O 7.5868 2.7954 1.1838
O 8.9300 5.1508 1.2929
O 9.6595 3.3978 2.9813
O 11.0904 5.7329 3.0186
O 12.2961 4.3136 5.0684
O 9.7033 0.1062 4.0946
```

## Properties
crystal system: triclinic
space group: P1, No. 1
density: 6.720 g/cm3

***

Energy ordering: 2) at the bottom, the next structure 0.023 eV/atom above.

***

1) Material: Li3Ni4O8
Method: DFT, GGA+U
State: relaxed

```
15
Lattice="5.0613 -2.8372 0.0000 5.0613 2.8372 0.0000 -1.7773 0.0000 4.7798" Properties=species:S:1:pos:R:3 pbc="T T T"
Li 0.0000 0.0000 0.0000
Li 2.5265 1.4097 0.0202
Li 5.8187 1.4097 4.7595
Ni 1.6458 -0.0012 2.4264
Ni 4.1726 1.4026 2.3899
Ni 6.6994 -0.0012 2.3533
Ni 4.1726 -1.4157 2.3899
O 2.3182 1.4655 3.4450
O 0.0157 -0.0849 3.4294
O 3.2135 0.0677 1.4128
O 6.0270 1.4655 1.3347
O 2.3660 -1.4746 3.4227
O 5.1317 0.0677 3.3669
O 8.3296 -0.0849 1.3503
O 5.9793 -1.4746 1.3570
```

## Properties
crystal system: monoclinic
space group: C2, No. 5
density: 4.640 g/cm3

***

2) Material: Li3Ni4O8
Method: DFT, GGA+U
State: relaxed

```
15
Lattice="3.9569 -4.2016 0.0000 3.9569 4.2016 0.0000 -3.8946 0.0000 4.0460" Properties=species:S:1:pos:R:3 pbc="T T T"
Li 0.0000 0.0000 0.0000
Li 1.9785 2.1008 0.0000
Li 1.9785 -2.1008 0.0000
Ni 0.0311 2.1008 2.0230
Ni 0.0311 -2.1008 2.0230
Ni 3.9569 0.0000 0.0000
Ni 2.0096 0.0000 2.0230
O 3.9569 1.9064 0.0000
O 2.0568 0.0000 0.1399
O 2.0096 1.8718 2.0230
O 0.1370 0.0000 2.1470
O 3.8822 0.0000 1.8990
O 2.0096 -1.8718 2.0230
O 1.9624 0.0000 3.9061
O 3.9569 -1.9064 0.0000
```

## Properties
crystal system: monoclinic
space group: C2/m, No. 12
density: 4.735 g/cm3

***

Energy ordering: 1) at the bottom, the next structure 0.039 eV/atom above.

***

1) Material: Li6NiO4
Method: DFT, GGA+U
State: relaxed

```
44
Lattice="6.5596 -6.6391 0.0000 6.5596 6.6391 0.0000 0.0000 0.0000 4.6649" Properties=species:S:1:pos:R:3 pbc="T T T"
Li 1.8604 1.8559 2.5573
Li 1.4525 1.4314 0.2240
Li 4.7193 1.8762 2.5543
Li 1.4525 -1.4314 0.2240
Li 6.5596 3.3496 0.0000
Li 6.5596 3.3419 2.3316
Li 3.3106 0.0000 0.4721
Li 3.3028 0.0000 2.8038
Li 1.8604 -1.8559 2.5573
Li 5.1381 1.4625 0.2433
Li 7.9811 1.4625 0.2433
Li 8.3999 1.8762 2.5543
Li 4.7193 -1.8762 2.5543
Li 5.1381 -1.4625 0.2433
Li 7.9811 -1.4625 0.2433
Li 11.2588 1.8559 2.5573
Li 9.8087 0.0000 0.4721
Li 9.8164 0.0000 2.8038
Li 6.5596 -3.3496 0.0000
Li 6.5596 -3.3419 2.3316
Li 11.6667 1.4314 0.2240
Li 8.3999 -1.8762 2.5543
Li 11.6667 -1.4314 0.2240
Li 11.2588 -1.8559 2.5573
Ni 0.0000 0.0000 2.5210
Ni 3.2798 3.3195 0.1803
Ni 3.2798 -3.3195 0.1803
Ni 6.5596 0.0000 2.6357
O 4.9885 3.3319 1.2247
O 6.5596 4.9210 3.5551
O 1.7645 0.0000 1.5855
O 3.2927 1.5486 3.9193
O 6.5596 1.7870 3.5454
O 3.2927 -1.5486 3.9193
O 8.1307 3.3319 1.2247
O 4.8679 0.0000 1.5763
O 8.2513 0.0000 1.5763
O 4.9885 -3.3319 1.2247
O 9.8265 1.5486 3.9193
O 6.5596 -1.7870 3.5454
O 9.8265 -1.5486 3.9193
O 11.3547 0.0000 1.5855
O 6.5596 -4.9210 3.5551
O 8.1307 -3.3319 1.2247
```

## Properties
crystal system: orthorhombic
space group: Cmm2, No. 35
density: 2.687 g/cm3

***

2) Material: Li6NiO4
Method: DFT, GGA+U
State: relaxed

```
22
Lattice="6.5999 0.0000 0.0000 0.0000 4.6576 0.0000 -0.0060 0.0000 6.6010" Properties=species:S:1:pos:R:3 pbc="T T T"
Li 0.0000 0.0000 0.0000
Li 0.0000 2.3281 0.0000
Li 1.4100 0.2492 1.8865
Li 1.4589 0.2481 4.7663
Li 1.8355 2.5764 1.4627
Li 1.8815 2.5752 5.1876
Li 3.2970 0.4964 3.3005
Li 3.2970 2.8245 3.3005
Li 4.7125 2.5752 1.4134
Li 4.7585 2.5764 5.1383
Li 5.1351 0.2481 1.8347
Li 5.1840 0.2492 4.7145
Ni -0.0030 2.5858 3.3005
Ni 3.3000 0.2460 0.0000
O 0.0590 3.5494 5.0442
O 1.5585 1.2179 0.0628
O 1.7359 1.6062 3.3646
O 3.2356 3.9326 1.7408
O 3.3583 3.9326 4.8602
O 4.8580 1.6062 3.2364
O 5.0354 1.2179 6.5382
O 6.5349 3.5494 1.5568
```

## Properties
crystal system: monoclinic
space group: P2, No. 3
density: 2.690 g/cm3

***

Energy ordering: 1) at the bottom, the next structure 0.016 eV/atom above.